Record 1
Compound: NdAs12Os4
Source: Materials Project
Functional: r2SCAN
Structure: optimized geometry

- space-group type = Im-3

Lattice parameters (Å, degrees): 7.4202 7.4200 7.4198 109.47 109.47 109.47
Closest atoms and distances in Å follow each position.
Positions (direct):
Nd 0.0000 0.0000 0.0000  12 As 3.25
As 0.3485 0.1994 0.8510  2 Os 2.46, 2 As 2.55-2.60
As 0.6515 0.8006 0.1490  2 Os 2.46, 2 As 2.55-2.60
As 0.6515 0.5025 0.8510  2 Os 2.46, 2 As 2.55-2.60
As 0.3485 0.4975 0.1490  2 Os 2.46, 2 As 2.55-2.60
As 0.1994 0.8509 0.3485  2 Os 2.46, 2 As 2.55-2.60
As 0.8006 0.1491 0.6515  2 Os 2.46, 2 As 2.55-2.60
As 0.5025 0.8510 0.6516  2 Os 2.46, 2 As 2.55-2.60
As 0.4975 0.1490 0.3484  2 Os 2.46, 2 As 2.55-2.60
As 0.8509 0.3485 0.1994  2 Os 2.46, 2 As 2.55-2.60
As 0.1491 0.6515 0.8006  2 Os 2.46, 2 As 2.55-2.60
As 0.8510 0.6515 0.5025  2 Os 2.46, 2 As 2.55-2.60
As 0.1490 0.3485 0.4975  2 Os 2.46, 2 As 2.55-2.60
Os 0.0000 0.0000 0.5000  6 As 2.46
Os 0.5000 0.0000 0.0000  6 As 2.46
Os 0.0000 0.5000 0.0000  6 As 2.46
Os 0.5000 0.5000 0.5000  6 As 2.46



Record 2
Compound: TbNiGe3
Source: Materials Project
Functional: r2SCAN
Structure: optimized geometry

- space-group type = Cmmm

Lattice parameters (Å, degrees): 10.9459 10.9459 4.0874 90.00 90.00 158.58
Closest atoms and distances in Å follow each position.
Positions (direct):
Tb 0.1686 0.8314 0.5000  10 Ge 3.06-3.21, 4 Ni 3.14
Tb 0.8314 0.1686 0.5000  10 Ge 3.06-3.21, 4 Ni 3.14
Ni 0.3898 0.6102 0.0000  5 Ge 2.28-2.34
Ni 0.6102 0.3898 0.0000  5 Ge 2.28-2.34
Ge 0.2837 0.7163 0.0000  1 Ni 2.28, 2 Ge 2.50
Ge 0.7163 0.2837 0.0000  1 Ni 2.28, 2 Ge 2.50
Ge 0.4427 0.5573 0.5000  2 Ni 2.34, 1 Ge 2.47
Ge 0.5573 0.4427 0.5000  2 Ni 2.34, 1 Ge 2.47
Ge 0.0574 0.9426 0.0000  2 Ni 2.33, 1 Ge 2.47
Ge 0.9426 0.0574 0.0000  2 Ni 2.33, 1 Ge 2.47



Record 3
Compound: Ba3GaS4Br
Source: Materials Project
Functional: r2SCAN
Structure: optimized geometry

- space-group type = Pnma

Lattice parameters (Å, degrees): 8.5711 9.7002 12.5151 90.00 90.00 90.00
Closest atoms and distances in Å follow each position.
Positions (direct):
Ba 0.4164 0.7500 0.4745  6 S 3.05-3.30, 1 Br 3.31
Ba 0.0836 0.7500 0.9745  6 S 3.05-3.30, 1 Br 3.31
Ba 0.5836 0.2500 0.5255  6 S 3.05-3.30, 1 Br 3.31
Ba 0.9164 0.2500 0.0255  6 S 3.05-3.30, 1 Br 3.31
Ba 0.9121 0.5201 0.3360  6 S 3.27-3.59, 2 Br 3.40-3.45, 1 Ga 3.61
Ba 0.5879 0.9799 0.8360  6 S 3.27-3.59, 2 Br 3.40-3.45, 1 Ga 3.61
Ba 0.0879 0.0201 0.6640  6 S 3.27-3.59, 2 Br 3.40-3.45, 1 Ga 3.61
Ba 0.4121 0.4799 0.1640  6 S 3.27-3.59, 2 Br 3.40-3.45, 1 Ga 3.61
Ba 0.0879 0.4799 0.6640  6 S 3.27-3.59, 2 Br 3.40-3.45, 1 Ga 3.61
Ba 0.4121 0.0201 0.1640  6 S 3.27-3.59, 2 Br 3.40-3.45, 1 Ga 3.61
Ba 0.9121 0.9799 0.3360  6 S 3.27-3.59, 2 Br 3.40-3.45, 1 Ga 3.61
Ba 0.5879 0.5201 0.8360  6 S 3.27-3.59, 2 Br 3.40-3.45, 1 Ga 3.61
Ga 0.6895 0.7500 0.1058  4 S 2.24-2.28
Ga 0.8105 0.7500 0.6058  4 S 2.24-2.28
Ga 0.3105 0.2500 0.8942  4 S 2.24-2.28
Ga 0.1895 0.2500 0.3942  4 S 2.24-2.28
S 0.8122 0.5506 0.0714  1 Ga 2.24
S 0.6878 0.9494 0.5714  1 Ga 2.24
S 0.1878 0.0506 0.9286  1 Ga 2.24
S 0.3122 0.4494 0.4286  1 Ga 2.24
S 0.1878 0.4494 0.9286  1 Ga 2.24
S 0.3122 0.0506 0.4286  1 Ga 2.24
S 0.8122 0.9494 0.0714  1 Ga 2.24
S 0.6878 0.5506 0.5714  1 Ga 2.24
S 0.6389 0.7500 0.2841  1 Ga 2.27
S 0.8611 0.7500 0.7841  1 Ga 2.27
S 0.3611 0.2500 0.7159  1 Ga 2.27
S 0.1389 0.2500 0.2159  1 Ga 2.27
S 0.4656 0.7500 0.0076  1 Ga 2.28
S 0.0344 0.7500 0.5076  1 Ga 2.28
S 0.5344 0.2500 0.9924  1 Ga 2.28
S 0.9656 0.2500 0.4924  1 Ga 2.28
Br 0.1697 0.7500 0.2322  6 Ba 3.31-3.70, 1 S 3.64
Br 0.3303 0.7500 0.7322  6 Ba 3.31-3.70, 1 S 3.64
Br 0.8303 0.2500 0.7678  6 Ba 3.31-3.70, 1 S 3.64
Br 0.6697 0.2500 0.2678  6 Ba 3.31-3.70, 1 S 3.64



Record 4
Compound: Sm3InS6
Source: Materials Project
Functional: r2SCAN
Structure: optimized geometry

- space-group type = Pnnm

Lattice parameters (Å, degrees): 3.9210 13.7096 16.6511 90.00 90.00 90.00
Closest atoms and distances in Å follow each position.
Positions (direct):
Sm 0.5000 0.6887 0.3541  7 S 2.78-2.96
Sm 0.5000 0.3113 0.6459  7 S 2.78-2.96
Sm 0.0000 0.1887 0.1459  7 S 2.78-2.96
Sm 0.0000 0.8113 0.8541  7 S 2.78-2.96
Sm 0.0000 0.7482 0.1063  7 S 2.82-3.08
Sm 0.0000 0.2518 0.8937  7 S 2.82-3.08
Sm 0.5000 0.2482 0.3937  7 S 2.82-3.08
Sm 0.5000 0.7518 0.6063  7 S 2.82-3.08
Sm 0.0000 0.9596 0.2770  8 S 2.84-2.96
Sm 0.0000 0.0404 0.7230  8 S 2.84-2.96
Sm 0.5000 0.4596 0.2230  8 S 2.84-2.96
Sm 0.5000 0.5404 0.7770  8 S 2.84-2.96
In 0.0000 0.5000 0.0000  6 S 2.45-2.74
In 0.5000 0.0000 0.5000  6 S 2.45-2.74
In 0.0000 0.5000 0.5000  6 S 2.62
In 0.5000 0.0000 0.0000  6 S 2.62
S 0.0000 0.9789 0.1034  2 In 2.62, 1 Sm 2.90
S 0.0000 0.0211 0.8966  2 In 2.62, 1 Sm 2.90
S 0.5000 0.4789 0.3966  2 In 2.62, 1 Sm 2.90
S 0.5000 0.5211 0.6034  2 In 2.62, 1 Sm 2.90
S 0.0000 0.6896 0.4801  1 In 2.62, 2 Sm 2.87
S 0.0000 0.3104 0.5199  1 In 2.62, 2 Sm 2.87
S 0.5000 0.1896 0.0199  1 In 2.62, 2 Sm 2.87
S 0.5000 0.8104 0.9801  1 In 2.62, 2 Sm 2.87
S 0.5000 0.8878 0.3852  1 In 2.45
S 0.5000 0.1122 0.6148  1 In 2.45
S 0.0000 0.3878 0.1148  1 In 2.45
S 0.0000 0.6122 0.8852  1 In 2.45
S 0.0000 0.6112 0.2531  5 Sm 2.79-3.08
S 0.0000 0.3888 0.7469  5 Sm 2.79-3.08
S 0.5000 0.1112 0.2469  5 Sm 2.79-3.08
S 0.5000 0.8888 0.7531  5 Sm 2.79-3.08
S 0.0000 0.9055 0.5840  2 In 2.74, 3 Sm 2.90-2.96
S 0.0000 0.0945 0.4160  2 In 2.74, 3 Sm 2.90-2.96
S 0.5000 0.4055 0.9160  2 In 2.74, 3 Sm 2.90-2.96
S 0.5000 0.5945 0.0840  2 In 2.74, 3 Sm 2.90-2.96
S 0.0000 0.6822 0.7137  5 Sm 2.82-2.95, 1 S 3.01
S 0.0000 0.3178 0.2863  5 Sm 2.82-2.95, 1 S 3.01
S 0.5000 0.1822 0.7863  5 Sm 2.82-2.95, 1 S 3.01
S 0.5000 0.8178 0.2137  5 Sm 2.82-2.95, 1 S 3.01



Record 5
Compound: UMoO6
Source: Materials Project
Functional: r2SCAN
Structure: optimized geometry

- space-group type = P2_1/c

Lattice parameters (Å, degrees): 5.4981 7.2100 13.4945 75.07 90.00 90.00
Closest atoms and distances in Å follow each position.
Positions (direct):
U 0.6681 0.1664 0.6472  2 O 1.80-1.84
U 0.1681 0.8336 0.8528  2 O 1.80-1.84
U 0.3319 0.8336 0.3528  2 O 1.80-1.84
U 0.8319 0.1664 0.1472  2 O 1.80-1.84
Mo 0.4048 0.2898 0.8968  4 O 1.75-1.77
Mo 0.5952 0.7102 0.1032  4 O 1.75-1.77
Mo 0.0952 0.2898 0.3968  4 O 1.75-1.77
Mo 0.9048 0.7102 0.6032  4 O 1.75-1.77
O 0.3068 0.5245 0.8936  1 Mo 1.77
O 0.9411 0.0705 0.7219  1 U 1.84
O 0.6107 0.7528 0.4193  1 U 1.80
O 0.5645 0.3026 0.7827  1 Mo 1.75
O 0.1088 0.7994 0.5005  1 Mo 1.77
O 0.4411 0.9295 0.7781  1 U 1.84
O 0.5589 0.0705 0.2219  1 U 1.84
O 0.1107 0.2472 0.0807  1 U 1.80
O 0.8374 0.8701 0.1059  1 Mo 1.77
O 0.1932 0.5245 0.3936  1 Mo 1.77
O 0.0589 0.9295 0.2781  1 U 1.84
O 0.9355 0.3026 0.2827  1 Mo 1.75
O 0.1626 0.1299 0.8941  1 Mo 1.77
O 0.8893 0.7528 0.9193  1 U 1.80
O 0.6088 0.2006 0.9995  1 Mo 1.77
O 0.4355 0.6974 0.2173  1 Mo 1.75
O 0.3893 0.2472 0.5807  1 U 1.80
O 0.6626 0.8701 0.6059  1 Mo 1.77
O 0.3912 0.7994 0.0005  1 Mo 1.77
O 0.8912 0.2006 0.4995  1 Mo 1.77
O 0.0645 0.6974 0.7173  1 Mo 1.75
O 0.8068 0.4755 0.6064  1 Mo 1.77
O 0.3374 0.1299 0.3941  1 Mo 1.77
O 0.6932 0.4755 0.1064  1 Mo 1.77



Record 6
Compound: Nb3Tl2Cl9
Source: Materials Project
Functional: r2SCAN
Structure: optimized geometry

- space-group type = C2/m

Lattice parameters (Å, degrees): 9.8110 9.8110 9.6042 76.75 76.75 116.15
Closest atoms and distances in Å follow each position.
Positions (direct):
Nb 0.6152 0.6152 0.1322  5 Cl 2.48-2.59
Nb 0.3848 0.3848 0.8678  5 Cl 2.48-2.59
Nb 0.4539 0.2782 0.1418  5 Cl 2.47-2.64
Nb 0.5461 0.7218 0.8582  5 Cl 2.47-2.64
Nb 0.7218 0.5461 0.8582  5 Cl 2.47-2.64
Nb 0.2782 0.4539 0.1418  5 Cl 2.47-2.64
Tl 0.7320 0.0515 0.3273  4 Cl 3.07-3.20
Tl 0.2680 0.9485 0.6727  4 Cl 3.07-3.20
Tl 0.9485 0.2680 0.6727  4 Cl 3.07-3.20
Tl 0.0515 0.7320 0.3273  4 Cl 3.07-3.20
Cl 0.7084 0.2916 0.0000  2 Nb 2.48
Cl 0.2916 0.7084 0.0000  2 Nb 2.48
Cl 0.3942 0.9954 0.3245  1 Nb 2.64
Cl 0.6058 0.0046 0.6755  1 Nb 2.64
Cl 0.0046 0.6058 0.6755  1 Nb 2.64
Cl 0.9954 0.3942 0.3245  1 Nb 2.64
Cl 0.3111 0.1016 0.0121  2 Nb 2.48
Cl 0.6889 0.8984 0.9879  2 Nb 2.48
Cl 0.8984 0.6889 0.9879  2 Nb 2.48
Cl 0.1016 0.3111 0.0121  2 Nb 2.48
Cl 0.7597 0.7597 0.2949  1 Nb 2.59
Cl 0.2403 0.2403 0.7051  1 Nb 2.59
Cl 0.8193 0.8193 0.6652  2 Nb 2.49
Cl 0.1807 0.1807 0.3348  2 Nb 2.49
Cl 0.5818 0.3726 0.3213  2 Nb 2.47-2.48
Cl 0.4182 0.6274 0.6787  2 Nb 2.47-2.48
Cl 0.6274 0.4182 0.6787  2 Nb 2.47-2.48
Cl 0.3726 0.5818 0.3213  2 Nb 2.47-2.48



| no. | calculated total energy (eV/atom) | E_form (eV per atom) |
| --- | --- | --- |
| 1 | -25.0039 | -0.425 |
| 2 | -17.5859 | -0.621 |
| 3 | -17.1911 | -2.043 |
| 4 | -17.9824 | -1.984 |
| 5 | -20.4465 | -2.715 |
| 6 | -18.2202 | -1.368 |